[1]
Crystalline Li8Fe7P8O32 at its relaxed geometry. Source: the Materials Project, functional GGA+U.

```
55
Lattice="-0.0141 6.1039 4.7890 0.0141 6.1039 -4.7890 -10.2650 0.0000 -4.7579" Properties=species:S:1:pos:R:3 pbc="T T T"
Li -5.3274 3.1107 -2.4319
Li -5.3274 6.0452 -2.4319
Li -5.0986 9.1838 -2.4003
Li -5.1127 6.0761 2.3887
Li -10.2184 9.2353 -4.8444
Li -10.2325 6.0245 -0.0554
Li -10.1988 6.0177 -4.6713
Li -10.1988 3.1383 -4.6713
Fe -8.0192 4.5780 -7.2290
Fe -7.3914 7.6032 -0.0424
Fe -7.3773 7.6566 -4.8314
Fe -2.8612 4.5780 -4.6591
Fe -2.8958 4.5780 0.1005
Fe -2.2855 7.6377 -2.2750
Fe -2.2996 7.6222 2.5140
P -9.2441 7.5790 -7.5867
P -9.2582 7.6809 -2.7977
P -6.1507 4.5780 -0.3292
P -6.0470 4.5780 -5.1356
P -4.1608 7.6295 -4.4008
P -4.1749 7.6304 0.3882
P -0.9691 4.5780 -1.9592
P -1.0225 4.5780 2.8073
O -9.7889 4.5780 -6.1160
O -9.8839 4.5780 -1.3545
O -9.1403 7.6262 -1.2569
O -9.1262 7.6337 -6.0459
O -8.4671 2.5881 -3.5486
O -8.5484 6.2975 -8.2199
O -8.4671 6.5678 -3.5486
O -8.5626 8.9623 -3.4309
O -6.8277 5.8415 -5.7360
O -6.8277 3.3144 -5.7360
O -6.8139 3.2658 -0.8812
O -6.8139 5.8901 -0.8812
O -5.9364 4.5780 -3.6404
O -6.1545 10.6819 -3.5715
O -5.6339 7.6038 -3.8266
O -5.6339 1.5521 -3.8266
O -4.7206 4.5780 -0.9545
O -4.6887 10.6819 -1.0947
O -4.1534 7.6362 -1.1484
O -4.1534 1.5197 -1.1484
O -3.4400 8.8501 1.0231
O -3.4950 8.8780 -3.7421
O -3.4258 6.4097 -3.7659
O -3.5091 6.3819 1.0469
O -1.7814 9.4455 -1.3589
O -1.6769 3.3334 -1.3180
O -1.6769 5.8225 -1.3180
O -1.7956 5.8144 3.4301
O -0.9989 4.5780 -3.4966
O -1.0425 4.5780 1.2558
O -0.4503 7.6500 1.4594
O -0.4362 7.6098 -3.3296
```

Summary:
Symmetry: Cm (8)
Polymorph energy (0 for the lowest one) in meV/atom: 0.0
M_tot in Bohr magnetons per cell: 30.0
Energy relative to the elements in kJ per mole of atoms: -238

[2]
Crystalline LiFe2P2O8 at its relaxed geometry. Source: the Materials Project, functional GGA+U.

```
52
Lattice="-3.8266 -3.4855 0.0157 0.5238 -0.5285 10.3084 -9.3292 10.2468 0.9994" Properties=species:S:1:pos:R:3 pbc="T T T"
Li -4.3354 0.5260 2.5541
Li -8.9713 5.6204 3.6182
Li -3.6733 0.6262 7.7067
Li -8.3092 5.7207 8.7708
Fe -2.5144 2.2900 0.6331
Fe -2.0239 -2.0544 2.3168
Fe -6.6610 3.0414 3.3561
Fe -6.9564 7.1887 5.5152
Fe -5.6078 -1.0304 5.8011
Fe -1.3205 -1.9165 7.4692
Fe -5.9576 3.1792 8.5085
Fe -10.0497 3.8683 10.6832
P -7.4845 4.8556 0.9374
P -8.2259 8.6228 3.0999
P -3.5258 3.4637 3.2980
P -2.5892 -0.5006 4.9789
P -7.6982 4.1581 6.0935
P -11.3703 5.2559 8.2681
P -6.6702 0.0967 8.4662
P -2.8029 -1.1981 10.1350
O -4.0801 -2.0548 10.3835
O -2.1031 -1.3844 0.3781
O -3.5801 0.6907 0.6190
O -11.7003 5.2209 1.6053
O -7.6666 4.6030 2.4514
O -7.7554 1.4062 2.9921
O -6.1182 -0.4743 2.4160
O -9.3326 7.5818 3.3946
O -4.6620 2.4524 3.0121
O -10.7362 4.6021 3.8331
O -12.4135 6.5230 3.6203
O -2.9247 -0.5984 3.4732
O -6.8489 -0.0909 4.7813
O -8.0234 5.5907 5.4737
O -6.5404 3.5096 5.3511
O -8.9984 3.3246 5.8893
O -1.6161 0.6923 5.2181
O -1.9888 -1.7831 5.5329
O -3.9163 -0.1184 5.7757
O -7.6665 8.3923 6.7439
O -7.4229 4.3221 7.6056
O -4.2294 4.1151 8.1329
O -2.5120 2.3076 7.5564
O -10.2295 6.2620 8.5535
O -5.5589 1.1327 8.1710
O -7.1300 7.3839 8.9735
O -8.8874 9.2319 8.7611
O -2.6810 -0.8793 8.6274
O -2.8151 3.0805 9.9200
O -8.3596 4.7817 10.6303
O -6.4261 3.1109 10.5059
O -6.5345 6.0717 0.7239
```

Summary:
Symmetry: Pca2_1 (29)
Polymorph energy (0 for the lowest one) in meV/atom: 14.6
M_tot in Bohr magnetons per cell: 36.0
Energy relative to the elements in kJ per mole of atoms: -229

- Which of these has the lowest M_tot?
  Li8Fe7P8O32